1.
A plane-wave DFT calculation with PBE-GGA was carried out for a relaxed structure of Te3Mo4N2.

Cell: 6.5157 9.7658 10.3556 Å, 90.00 90.00 90.00°
Space group Pnma (No. 62)
One atom of each set of equivalent atoms:
1 Te 0.1124 0.2500 0.1882 (multiplicity 4)
2 Te 0.1584 0.0779 0.8841 (multiplicity 8)
3 Mo 0.0129 0.7500 0.3196 (multiplicity 4)
4 Mo 0.0284 0.6052 0.5779 (multiplicity 8)
5 Mo 0.1721 0.7500 0.0352 (multiplicity 4)
6 N 0.1422 0.0972 0.5862 (multiplicity 8)

Calculated values
Final energy ... -7.649 eV per atom
ΔH_f (0 K) ... -0.008 eV per atom
Spin magnetization ... 0.0003 μB per atom

---

2.
A plane-wave DFT calculation with PBE-GGA was carried out for a relaxed structure of VMoN3.

Cell: 5.3169 7.7595 7.9837 Å, 118.93 92.40 106.79°
Space group P-1 (No. 2)
One atom of each set of equivalent atoms:
1 V 0.1123 0.0827 0.1916 (multiplicity 2)
2 V 0.3318 0.7868 0.8668 (multiplicity 2)
3 Mo 0.1418 0.7109 0.1466 (multiplicity 2)
4 Mo 0.2828 0.5694 0.4572 (multiplicity 2)
5 N 0.0515 0.7159 0.6497 (multiplicity 2)
6 N 0.0847 0.1377 0.7910 (multiplicity 2)
7 N 0.1214 0.5437 0.8571 (multiplicity 2)
8 N 0.3866 0.7404 0.3669 (multiplicity 2)
9 N 0.4081 0.9610 0.1435 (multiplicity 2)
10 N 0.4459 0.3427 0.3047 (multiplicity 2)

Calculated values
Final energy ... -9.231 eV per atom
ΔH_f (0 K) ... -0.460 eV per atom
Spin magnetization ... 0.0000 μB per atom